Record 1
Al2O3: relaxed, GGA-PBE.

Summary:
E   -294.24 eV per cell
Symmetry   P1
Magnetization   0.0 μB/cell
DFT formation energy   -3.301 eV/atom

Unit cell a=5.6297 b=5.6518 c=14.0840 alpha=89.62 beta=90.84 gamma=119.77
Closest atoms and distances in Å follow each position.
Positions (direct):
1 O 0.8044 0.1574 0.9727  3 Al 1.84-1.85
2 O 0.8288 0.6616 0.4532  4 Al 1.78-1.97
3 O 0.0283 0.5040 0.6182  3 Al 1.77-1.87
4 O 0.3197 0.6426 0.4454  3 Al 1.85-1.96
5 O 0.9787 0.9771 0.1317  3 Al 1.81-1.96
6 O 0.8038 0.6578 0.9836  3 Al 1.88-1.90
7 O 0.8505 0.1698 0.4484  4 Al 1.87-2.00
8 O 0.9792 0.5064 0.1325  3 Al 1.81-1.95
9 O 0.6558 0.3459 0.8103  3 Al 1.78-1.90
10 O 0.4720 0.9891 0.1106  3 Al 1.84-1.85
11 O 0.6410 0.8212 0.8083  3 Al 1.77-1.93
12 O 0.1557 0.3242 0.2983  4 Al 1.81-1.98
13 O 0.6668 0.8181 0.3069  4 Al 1.87-2.04
14 O 0.5345 0.9737 0.6421  2 Al 1.72-1.78
15 O 0.6667 0.3454 0.3078  4 Al 1.87-2.06
16 O 0.3164 0.1659 0.4476  3 Al 1.86-1.99
17 O 0.4930 0.4706 0.6209  3 Al 1.82-1.97
18 O 0.3490 0.1736 0.9608  4 Al 1.92-1.95
19 O 0.5126 0.5087 0.1339  2 Al 1.80-1.89
20 O 0.0188 0.0024 0.6270  3 Al 1.79-1.87
21 O 0.2032 0.3608 0.7812  3 Al 1.78-1.93
22 O 0.3514 0.6964 0.9575  4 Al 1.95-1.96
23 O 0.2087 0.8892 0.7820  3 Al 1.82-2.02
24 O 0.1346 0.8147 0.3055  4 Al 1.87-2.01
25 Al 0.8284 0.6658 0.2130  6 O 1.89-2.06
26 Al 0.4775 0.2054 0.7018  3 O 1.72-1.84
27 Al 0.1602 0.3305 0.1697  4 O 1.80-1.81
28 Al 0.6615 0.3202 0.0484  6 O 1.85-2.05
29 Al 0.1440 0.3084 0.5491  4 O 1.83-2.00
30 Al 0.9938 0.9941 0.3764  6 O 1.86-1.96
31 Al 0.9686 0.0103 0.7577  4 O 1.77-1.87
32 Al 0.4925 0.9905 0.3778  6 O 1.96-2.01
33 Al 0.6594 0.8498 0.0471  5 O 1.84-1.96
34 Al 0.9945 0.4920 0.3769  6 O 1.85-1.97
35 Al 0.4734 0.4902 0.8820  5 O 1.90-1.95
36 Al 0.1625 0.8374 0.0341  4 O 1.85-1.95
37 Al 0.3131 0.6745 0.7073  4 O 1.78-1.91
38 Al 0.5294 0.0307 0.8813  5 O 1.85-1.96
39 Al 0.8423 0.6648 0.5793  4 O 1.77-1.82
40 Al 0.4917 0.4919 0.3785  6 O 1.85-1.98

Record 2
NdGaAu2: relaxed, GGA-PBE.

Summary:
E   -16.80 eV per cell
Symmetry   Fm-3m
Magnetization   0.0 μB/cell
DFT formation energy   -0.615 eV/atom

Unit cell a=4.9780 b=4.9780 c=4.9780 alpha=60.00 beta=60.00 gamma=60.00
Closest atoms and distances in Å follow each position.
Positions (direct):
1 Au 0.7500 0.7500 0.7500  4 Nd 3.05, 4 Ga 3.05
2 Au 0.2500 0.2500 0.2500  4 Ga 3.05, 4 Nd 3.05
3 Ga 0.5000 0.5000 0.5000  8 Au 3.05
4 Nd 0.0000 0.0000 0.0000  8 Au 3.05

Record 3
CaHfMg14: relaxed, GGA-PBE.

Summary:
E   -33.33 eV per cell
Symmetry   Amm2
Magnetization   0.0 μB/cell
DFT formation energy   0.065 eV/atom
Excess energy over the best structure of this formula in the dataset   0.079 kcal/mol of atoms

Unit cell a=6.4897 b=6.5514 c=10.3280 alpha=90.00 beta=90.00 gamma=120.32
Closest atoms and distances in Å follow each position.
Positions (direct):
1 Mg 0.8376 0.6688 0.3708  11 Mg 3.17-3.29, 1 Hf 3.19
2 Mg 0.1660 0.8330 0.6250  12 Mg 3.14-3.28
3 Mg 0.8258 0.1629 0.8698  11 Mg 3.14-3.30, 1 Ca 3.26
4 Mg 0.6636 0.8302 0.1250  2 Hf 3.16-3.33, 8 Mg 3.17-3.30, 2 Ca 3.22-3.27
5 Mg 0.3325 0.1592 0.8715  10 Mg 3.14-3.37, 1 Hf 3.18, 1 Ca 3.25
6 Mg 0.1666 0.3333 0.6250  12 Mg 3.17-3.28
7 Mg 0.3325 0.1592 0.3785  10 Mg 3.14-3.37, 1 Hf 3.18, 1 Ca 3.25
8 Mg 0.8258 0.1629 0.3802  11 Mg 3.14-3.30, 1 Ca 3.26
9 Mg 0.3325 0.6733 0.3785  10 Mg 3.14-3.37, 1 Hf 3.18, 1 Ca 3.25
10 Mg 0.6669 0.8328 0.6250  12 Mg 3.14-3.28
11 Mg 0.6669 0.3341 0.6250  12 Mg 3.14-3.28
12 Mg 0.6636 0.3334 0.1250  2 Hf 3.16-3.33, 8 Mg 3.17-3.30, 2 Ca 3.22-3.27
13 Mg 0.3325 0.6733 0.8715  10 Mg 3.14-3.37, 1 Hf 3.18, 1 Ca 3.25
14 Mg 0.8376 0.6688 0.8792  11 Mg 3.17-3.29, 1 Hf 3.19
15 Ca 0.1672 0.3336 0.1250  10 Mg 3.22-3.27, 2 Hf 3.28
16 Hf 0.1825 0.8412 0.1250  10 Mg 3.16-3.33, 2 Ca 3.28

Which formula does entry 2 have? NdGaAu2